Entry from the Materials Project database: a relaxed structure of MgBi8P8O32 (GGA-PBE).

a b c (Å): 5.6620 9.4124 17.0717
angles (deg): 90.49 79.09 74.57
Closest atoms and distances in Å follow each position.
Element x y z (fractional)
O 0.7175 0.2014 0.8192  1 P 1.55
O 0.5131 0.5205 0.4138  1 P 1.58
O 0.1951 0.4081 0.1063  1 P 1.56
O 0.6544 0.8117 0.3898  1 P 1.59
O 0.8379 0.6454 0.1008  1 P 1.57
O 0.8065 0.5050 0.2225  1 P 1.54
O 0.3770 0.0760 0.4365  1 P 1.59
O 0.7730 0.2482 0.5230  1 P 1.59
O 0.2868 0.6886 0.3154  1 P 1.52
O 0.4742 0.4777 0.5855  1 P 1.57
O 0.4314 0.0209 0.0918  1 P 1.55
O 0.2945 0.8005 0.1601  1 P 1.55
O 0.4945 0.0040 0.7094  1 P 1.56
O 0.7870 0.3849 0.0872  1 P 1.59
O 0.1905 0.7493 0.4686  1 P 1.58
O 0.0268 0.9811 0.0769  1 P 1.55
O 0.5237 0.0488 0.9217  1 P 1.58
O 0.0592 0.5403 0.4127  1 P 1.56
O 0.1891 0.5776 0.9352  1 P 1.56
O 0.8438 0.0297 0.3947  1 P 1.55
O 0.6752 0.9131 0.5632  1 P 1.58
O 0.1475 0.3243 0.8884  1 P 1.55
O 0.9485 0.0768 0.9261  1 P 1.55
O 0.4288 0.7948 0.0091  1 P 1.59
O 0.5573 0.2930 0.9676  1 P 1.54
O 0.7740 0.5578 0.9133  1 P 1.55
O 0.5849 0.9989 0.2897  1 P 1.51
O 0.9430 0.4490 0.5718  1 P 1.55
O 0.1364 0.5261 0.7939  1 P 1.58
O 0.2343 0.9128 0.6206  1 P 1.53
O 0.3345 0.1644 0.6047  1 P 1.60
O 0.7289 0.3054 0.6743  1 P 1.53
Bi 0.4085 0.2459 0.7545  3 O 2.19-2.29
Bi 0.8254 0.8421 0.9582  3 O 2.40-2.52
Bi 0.6002 0.7561 0.2318  5 O 2.26-2.46
Bi 0.4738 0.5259 0.0217  6 O 2.26-2.49
Bi 0.3541 0.3163 0.5008  5 O 2.29-2.47
Bi 0.6795 0.6616 0.4874  3 O 2.19-2.30
Bi 0.1539 0.1835 0.0216  5 O 2.35-2.52
Bi 0.0181 0.9934 0.5031  5 O 2.24-2.45
P 0.2948 0.8989 0.0874  4 O 1.55-1.59
P 0.9106 0.4862 0.1315  4 O 1.54-1.59
P 0.2614 0.6274 0.3976  4 O 1.52-1.58
P 0.7327 0.3703 0.5925  4 O 1.53-1.59
P 0.0602 0.4942 0.8846  4 O 1.55-1.58
P 0.6913 0.1599 0.9077  4 O 1.54-1.58
P 0.4309 0.9961 0.6248  4 O 1.53-1.60
P 0.6180 0.9825 0.3754  4 O 1.51-1.59
Mg 0.0171 0.7430 0.7825  1 O 2.00

Output
- Energy relative to the lowest polymorph listed for this composition: 0.032 eV/atom

=====

Entry from the Materials Project database: a relaxed structure of Mg2BiPO6 (GGA-PBE).

a b c (Å): 5.3373 7.9022 12.1147
angles (deg): 90.00 90.00 90.00
Closest atoms and distances in Å follow each position.
Element x y z (fractional)
O 0.4993 0.3271 0.4967  2 Mg 2.06, 2 Bi 2.22-2.25
O 0.2500 0.8585 0.7783  1 P 1.54
O 0.2500 0.3198 0.2598  1 P 1.54
O 0.0007 0.1729 0.9967  2 Mg 2.06, 2 Bi 2.22-2.25
O 0.4925 0.4980 0.1251  1 P 1.57
O 0.9993 0.6729 0.5033  2 Mg 2.06, 2 Bi 2.22-2.25
O 0.0075 0.0020 0.6251  1 P 1.57
O 0.9925 0.9980 0.3749  1 P 1.57
O 0.0075 0.4980 0.1251  1 P 1.57
O 0.5007 0.6729 0.5033  2 Mg 2.06, 2 Bi 2.22-2.25
O 0.4925 0.0020 0.6251  1 P 1.57
O 0.4993 0.1729 0.9967  2 Mg 2.06, 2 Bi 2.22-2.25
O 0.9925 0.5020 0.8749  1 P 1.57
O 0.9993 0.8271 0.0033  2 Mg 2.06, 2 Bi 2.22-2.25
O 0.5007 0.8271 0.0033  2 Mg 2.06, 2 Bi 2.22-2.25
O 0.7500 0.1415 0.2217  1 P 1.54
O 0.7500 0.3585 0.7217  1 P 1.54
O 0.5075 0.5020 0.8749  1 P 1.57
O 0.2500 0.1802 0.7598  1 P 1.54
O 0.7500 0.6802 0.7402  1 P 1.54
O 0.7500 0.8198 0.2402  1 P 1.54
O 0.2500 0.6415 0.2783  1 P 1.54
O 0.5075 0.9980 0.3749  1 P 1.57
O 0.0007 0.3271 0.4967  2 Mg 2.06, 2 Bi 2.22-2.25
Mg 0.7500 0.3016 0.0953  5 O 1.99-2.10
Mg 0.2500 0.8016 0.4047  5 O 1.99-2.10
Mg 0.7500 0.6942 0.0998  5 O 1.97-2.09
Mg 0.2500 0.6984 0.9047  5 O 1.99-2.10
Mg 0.7500 0.8058 0.5998  5 O 1.97-2.09
Mg 0.2500 0.3058 0.9002  5 O 1.97-2.09
Mg 0.2500 0.1942 0.4002  5 O 1.97-2.09
Mg 0.7500 0.1984 0.5953  5 O 1.99-2.10
Bi 0.7500 0.5065 0.4040  4 O 2.22-2.25
Bi 0.7500 0.9935 0.9040  4 O 2.22-2.25
Bi 0.2500 0.0065 0.0960  4 O 2.22-2.25
Bi 0.2500 0.4935 0.5960  4 O 2.22-2.25
P 0.7500 0.5095 0.8015  4 O 1.54-1.57
P 0.2500 0.4905 0.1985  4 O 1.54-1.57
P 0.2500 0.0095 0.6985  4 O 1.54-1.57
P 0.7500 0.9905 0.3015  4 O 1.54-1.57

Output
- Calculated total energy: -260.95 eV per cell

=====

Entry from the Materials Project database: a relaxed structure of MgBi8P8O32 (GGA-PBE).

a b c (Å): 5.5485 9.9460 16.9016
angles (deg): 91.37 83.51 71.38
Closest atoms and distances in Å follow each position.
Element x y z (fractional)
P 0.2271 0.6195 0.4112  4 O 1.54-1.60
P 0.2883 0.8754 0.0997  4 O 1.53-1.60
P 0.7180 0.3561 0.6048  4 O 1.55-1.57
P 0.4764 0.0092 0.6230  4 O 1.55-1.58
P 0.9946 0.5005 0.8683  4 O 1.54-1.59
P 0.5725 0.0168 0.3652  4 O 1.54-1.60
P 0.9404 0.5145 0.1146  4 O 1.52-1.58
P 0.7324 0.1414 0.9119  4 O 1.53-1.58
O 0.7029 0.5272 0.8837  1 P 1.54
O 0.2437 0.6752 0.3270  1 P 1.54
O 0.1511 0.3484 0.8949  1 P 1.59
O 0.3121 0.8164 0.1826  1 P 1.53
O 0.0835 0.4979 0.7775  1 P 1.56
O 0.7415 0.1908 0.8266  1 P 1.53
O 0.8082 0.5341 0.2000  1 P 1.52
O 0.7587 0.2648 0.5246  1 P 1.57
O 0.0299 0.5382 0.4277  1 P 1.56
O 0.3417 0.1658 0.6065  1 P 1.55
O 0.8350 0.0152 0.3882  1 P 1.54
O 0.1176 0.7525 0.4749  1 P 1.60
O 0.2187 0.4066 0.1000  1 P 1.56
O 0.7479 0.2639 0.6778  1 P 1.55
O 0.9226 0.4321 0.6009  1 P 1.55
O 0.3251 0.9082 0.6046  1 P 1.55
O 0.4375 0.4640 0.6126  1 P 1.57
O 0.5847 0.2673 0.9765  1 P 1.58
O 0.0066 0.9376 0.0860  1 P 1.53
O 0.4861 0.5147 0.4298  1 P 1.55
O 0.7997 0.4468 0.0568  1 P 1.58
O 0.7401 0.9459 0.5673  1 P 1.58
O 0.3612 0.1595 0.3984  1 P 1.57
O 0.4308 0.9877 0.0838  1 P 1.57
O 0.0673 0.6158 0.9150  1 P 1.56
O 0.5575 0.0441 0.9233  1 P 1.58
O 0.4442 0.7537 0.0321  1 P 1.60
O 0.5887 0.9820 0.2752  1 P 1.54
O 0.9591 0.6612 0.0868  1 P 1.57
O 0.5296 0.0044 0.7120  1 P 1.56
O 0.4789 0.8952 0.4057  1 P 1.60
O 0.0030 0.0687 0.9333  1 P 1.53
Bi 0.4258 0.2299 0.7521  3 O 2.19-2.21
Bi 0.0756 0.9883 0.4873  4 O 2.23-2.38
Bi 0.5717 0.7475 0.2733  4 O 2.19-2.36
Bi 0.2021 0.2062 0.0057  6 O 2.36-2.61
Bi 0.3392 0.3408 0.4872  4 O 2.28-2.48
Bi 0.7473 0.7090 0.5454  4 O 2.36-2.61
Bi 0.4474 0.5179 0.9963  4 O 2.23-2.40
Bi 0.8079 0.8348 0.0042  4 O 2.26-2.41
Mg 0.0703 0.5562 0.6669  3 O 1.97-2.06

Output
- Energy relative to the lowest polymorph listed for this composition: 0.000 eV/atom

=====

Entry from the Materials Project database: a relaxed structure of MgBi4P8O28 (GGA-PBE).

a b c (Å): 9.2361 5.2481 13.6026
angles (deg): 89.70 103.85 90.14
Closest atoms and distances in Å follow each position.
Element x y z (fractional)
P 0.5686 0.2506 0.8732  4 O 1.53-1.61
P 0.0592 0.2378 0.3861  4 O 1.51-1.65
P 0.0238 0.7695 0.8500  4 O 1.53-1.61
P 0.4507 0.7613 0.1239  3 O 1.51-1.54
P 0.4801 0.7562 0.3498  4 O 1.51-1.69
P 0.0076 0.2159 0.1551  4 O 1.51-1.66
P 0.4835 0.2536 0.6452  4 O 1.51-1.61
P 0.9279 0.7564 0.6231  4 O 1.52-1.61
O 0.6105 0.8333 0.1239  1 P 1.52
O 0.9021 0.0290 0.5806  1 P 1.54
O 0.3289 0.8921 0.0455  1 P 1.51
O 0.0656 0.9538 0.4166  1 P 1.54
O 0.9637 0.9349 0.1409  1 P 1.53
O 0.8066 0.5700 0.5744  1 P 1.52
O 0.4132 0.1443 0.8702  1 P 1.53
O 0.9365 0.6491 0.9215  1 P 1.54
O 0.3693 0.8839 0.4018  1 P 1.53
O 0.1607 0.6088 0.8482  1 P 1.53
O 0.8740 0.3915 0.1282  1 P 1.51
O 0.7008 0.0964 0.9331  1 P 1.53
O 0.9138 0.7667 0.7388  2 P 1.61
O 0.0871 0.6654 0.6238  1 P 1.54
O 0.5780 0.1451 0.5786  1 P 1.51
O 0.0589 0.0538 0.8716  1 P 1.54
O 0.6412 0.8368 0.3885  1 P 1.51
O 0.1427 0.2843 0.1117  1 P 1.54
O 0.3423 0.0910 0.6404  1 P 1.55
O 0.0995 0.2515 0.2748  2 P 1.65-1.66
O 0.9045 0.3453 0.3761  1 P 1.51
O 0.4457 0.5396 0.6278  1 P 1.55
O 0.4242 0.4731 0.1288  1 P 1.54
O 0.5880 0.2435 0.7585  2 P 1.61
O 0.1905 0.3831 0.4524  1 P 1.53
O 0.4212 0.8854 0.2326  2 P 1.69-1.70
O 0.5810 0.5285 0.9106  1 P 1.54
O 0.4606 0.4668 0.3382  1 P 1.53
Mg 0.3333 0.2681 0.2259  4 O 1.99-2.16
Bi 0.7752 0.7334 0.0234  6 O 2.28-2.34
Bi 0.7283 0.2376 0.4723  5 O 2.19-2.44
Bi 0.2524 0.7628 0.5322  6 O 2.25-2.37
Bi 0.2479 0.2749 0.9570  4 O 2.19-2.37

Output
- Energy relative to the lowest polymorph listed for this composition: 0.024 eV/atom

=====

Entry from the Materials Project database: a relaxed structure of MgTiBiP3O12 (GGA-PBE).

a b c (Å): 8.4003 8.4003 8.4003
angles (deg): 64.63 64.63 64.63
Closest atoms and distances in Å follow each position.
Element x y z (fractional)
P 0.9289 0.5653 0.2601  4 O 1.51-1.60
P 0.0653 0.4289 0.7601  4 O 1.51-1.60
P 0.5653 0.2601 0.9289  4 O 1.51-1.60
P 0.7601 0.0653 0.4289  4 O 1.51-1.60
P 0.2601 0.9289 0.5653  4 O 1.51-1.60
P 0.4289 0.7601 0.0653  4 O 1.51-1.60
O 0.8432 0.0633 0.5582  1 P 1.51
O 0.2067 0.0068 0.3785  1 P 1.60
O 0.7353 0.5691 0.4062  1 P 1.56
O 0.0933 0.9175 0.7432  1 P 1.55
O 0.0691 0.2353 0.9062  1 P 1.56
O 0.7432 0.0933 0.9175  1 P 1.55
O 0.3432 0.0582 0.5633  1 P 1.51
O 0.4175 0.5933 0.2432  1 P 1.55
O 0.5068 0.7067 0.8785  1 P 1.60
O 0.7067 0.8785 0.5068  1 P 1.60
O 0.5933 0.2432 0.4175  1 P 1.55
O 0.9175 0.7432 0.0933  1 P 1.55
O 0.8785 0.5068 0.7067  1 P 1.60
O 0.2353 0.9062 0.0691  1 P 1.56
O 0.5582 0.8432 0.0633  1 P 1.51
O 0.0633 0.5582 0.8432  1 P 1.51
O 0.2432 0.4175 0.5933  1 P 1.55
O 0.5633 0.3432 0.0582  1 P 1.51
O 0.0582 0.5633 0.3432  1 P 1.51
O 0.0068 0.3785 0.2067  1 P 1.60
O 0.5691 0.4062 0.7353  1 P 1.56
O 0.9062 0.0691 0.2353  1 P 1.56
O 0.3785 0.2067 0.0068  1 P 1.60
O 0.4062 0.7353 0.5691  1 P 1.56
Ti 0.6490 0.6490 0.6490  6 O 1.93-2.15
Ti 0.1490 0.1490 0.1490  6 O 1.93-2.15
Bi 0.3322 0.3322 0.3322  6 O 2.28-2.32
Bi 0.8322 0.8322 0.8322  6 O 2.28-2.32
Mg 0.9932 0.9932 0.9932  6 O 2.12-2.17
Mg 0.4932 0.4932 0.4932  6 O 2.12-2.17

Output
- Calculated total energy: -260.22 eV per cell

=====

Entry from the Materials Project database: a relaxed structure of PrMgBi2O6 (GGA-PBE).

a b c (Å): 8.4365 8.4365 8.4365
angles (deg): 90.00 90.00 90.00
Closest atoms and distances in Å follow each position.
Element x y z (fractional)
Bi 0.5000 0.0000 0.5000  4 O 2.26
Bi 0.0000 0.5000 0.0000  4 O 2.26
Bi 0.5000 0.0000 0.0000  4 O 2.26
Bi 0.0000 0.0000 0.5000  4 O 2.26
Bi 0.5000 0.5000 0.5000  12 O 2.95
Bi 0.0000 0.5000 0.5000  4 O 2.26
Bi 0.5000 0.5000 0.0000  4 O 2.26
Bi 0.0000 0.0000 0.0000  12 O 2.95
O 0.6781 0.5156 0.8004  1 Mg 2.11, 1 Bi 2.26, 1 Pr 2.36
O 0.8219 0.9844 0.6996  1 Mg 2.11, 1 Bi 2.26, 1 Pr 2.36
O 0.1781 0.9844 0.3004  1 Mg 2.11, 1 Bi 2.26, 1 Pr 2.36
O 0.3004 0.1781 0.9844  1 Mg 2.11, 1 Bi 2.26, 1 Pr 2.36
O 0.9844 0.6996 0.8219  1 Mg 2.11, 1 Bi 2.26, 1 Pr 2.36
O 0.0156 0.6996 0.1781  1 Mg 2.11, 1 Bi 2.26, 1 Pr 2.36
O 0.9844 0.3004 0.1781  1 Mg 2.11, 1 Bi 2.26, 1 Pr 2.36
O 0.1996 0.3219 0.5156  1 Mg 2.11, 1 Bi 2.26, 1 Pr 2.36
O 0.6996 0.8219 0.9844  1 Mg 2.11, 1 Bi 2.26, 1 Pr 2.36
O 0.1781 0.0156 0.6996  1 Mg 2.11, 1 Bi 2.26, 1 Pr 2.36
O 0.3004 0.8219 0.0156  1 Mg 2.11, 1 Bi 2.26, 1 Pr 2.36
O 0.4844 0.1996 0.6781  1 Mg 2.11, 1 Bi 2.26, 1 Pr 2.36
O 0.6996 0.1781 0.0156  1 Mg 2.11, 1 Bi 2.26, 1 Pr 2.36
O 0.5156 0.8004 0.6781  1 Mg 2.11, 1 Bi 2.26, 1 Pr 2.36
O 0.6781 0.4844 0.1996  1 Mg 2.11, 1 Bi 2.26, 1 Pr 2.36
O 0.8004 0.3219 0.4844  1 Mg 2.11, 1 Bi 2.26, 1 Pr 2.36
O 0.5156 0.1996 0.3219  1 Mg 2.11, 1 Bi 2.26, 1 Pr 2.36
O 0.3219 0.5156 0.1996  1 Mg 2.11, 1 Bi 2.26, 1 Pr 2.36
O 0.3219 0.4844 0.8004  1 Mg 2.11, 1 Bi 2.26, 1 Pr 2.36
O 0.8219 0.0156 0.3004  1 Mg 2.11, 1 Bi 2.26, 1 Pr 2.36
O 0.8004 0.6781 0.5156  1 Mg 2.11, 1 Bi 2.26, 1 Pr 2.36
O 0.4844 0.8004 0.3219  1 Mg 2.11, 1 Bi 2.26, 1 Pr 2.36
O 0.1996 0.6781 0.4844  1 Mg 2.11, 1 Bi 2.26, 1 Pr 2.36
O 0.0156 0.3004 0.8219  1 Mg 2.11, 1 Bi 2.26, 1 Pr 2.36
Mg 0.2500 0.7500 0.2500  6 O 2.11
Mg 0.7500 0.7500 0.7500  6 O 2.11
Mg 0.7500 0.2500 0.2500  6 O 2.11
Mg 0.2500 0.2500 0.7500  6 O 2.11
Pr 0.7500 0.2500 0.7500  6 O 2.36
Pr 0.7500 0.7500 0.2500  6 O 2.36
Pr 0.2500 0.2500 0.2500  6 O 2.36
Pr 0.2500 0.7500 0.7500  6 O 2.36

Output
- Energy relative to the lowest polymorph listed for this composition: 0.179 eV/atom

=====

Number 1: volume 859.49 Å³/f.u.. Number 2: volume 127.74 Å³/f.u.. Number 3: volume 876.44 Å³/f.u.. Number 4: volume 640.18 Å³/f.u.. Number 5: volume 230.83 Å³/f.u.. Number 6: volume 150.12 Å³/f.u..